<one>
Density functional theory data (PBE-GGA) for a geometry-optimized Nb2CuS4 structure. Values from VASP.

The structure in Quantum ESPRESSO input format:
```
&SYSTEM
  ibrav = 0, nat = 28, ntyp = 3
/
ATOMIC_SPECIES
Cu 63.55 Cu.upf
S 32.06 S.upf
Nb 92.91 Nb.upf
CELL_PARAMETERS angstrom
0.000 -3.547 0.000
-8.295 0.000 0.000
0.000 0.000 -17.517
ATOMIC_POSITIONS crystal
Cu 0.250 0.811 0.281
Cu 0.750 0.689 0.781
Cu 0.750 0.189 0.719
Cu 0.250 0.311 0.219
S 0.250 0.860 0.143
S 0.250 0.345 0.723
S 0.750 0.640 0.643
S 0.750 0.838 0.990
S 0.750 0.992 0.396
S 0.250 0.162 0.010
S 0.250 0.508 0.896
S 0.750 0.655 0.277
S 0.750 0.155 0.223
S 0.750 0.140 0.857
S 0.250 0.360 0.357
S 0.250 0.008 0.604
S 0.750 0.492 0.104
S 0.250 0.662 0.490
S 0.750 0.338 0.510
S 0.250 0.845 0.777
Nb 0.750 0.373 0.971
Nb 0.750 0.560 0.399
Nb 0.250 0.127 0.471
Nb 0.750 0.060 0.101
Nb 0.750 0.873 0.529
Nb 0.250 0.940 0.899
Nb 0.250 0.627 0.029
Nb 0.250 0.440 0.601
```

Calculated values
SG: Pnma (62)
Volume, A^3/atom: 18.41
Spin magnetization, μB per atom: 0.000

=====

<two>
Density functional theory data (PBE-GGA) for a geometry-optimized Nb2CuS4 structure. Values from VASP.

The structure in Quantum ESPRESSO input format:
```
&SYSTEM
  ibrav = 0, nat = 28, ntyp = 3
/
ATOMIC_SPECIES
Nb 92.91 Nb.upf
Cu 63.55 Cu.upf
S 32.06 S.upf
CELL_PARAMETERS angstrom
3.376 0.000 0.000
0.000 10.045 0.000
0.000 0.000 13.518
ATOMIC_POSITIONS crystal
Nb 0.750 0.519 0.586
Nb 0.750 0.358 0.101
Nb 0.250 0.142 0.601
Nb 0.250 0.642 0.899
Nb 0.250 0.981 0.086
Nb 0.750 0.858 0.399
Nb 0.250 0.481 0.414
Nb 0.750 0.019 0.914
Cu 0.250 0.792 0.672
Cu 0.750 0.208 0.328
Cu 0.750 0.708 0.172
Cu 0.250 0.292 0.828
S 0.750 0.951 0.582
S 0.750 0.305 0.488
S 0.250 0.049 0.418
S 0.250 0.382 0.673
S 0.250 0.361 0.242
S 0.250 0.861 0.258
S 0.250 0.882 0.827
S 0.750 0.139 0.742
S 0.250 0.549 0.082
S 0.250 0.695 0.512
S 0.750 0.618 0.327
S 0.250 0.195 0.988
S 0.750 0.639 0.758
S 0.750 0.118 0.173
S 0.750 0.451 0.918
S 0.750 0.805 0.012
```

Calculated values
SG: Pnma (62)
Volume, A^3/atom: 16.37
Spin magnetization, μB per atom: 0.001

=====

<three>
Density functional theory data (PBE-GGA) for a geometry-optimized Nb2CuS4 structure. Values from VASP.

The structure in Quantum ESPRESSO input format:
```
&SYSTEM
  ibrav = 0, nat = 28, ntyp = 3
/
ATOMIC_SPECIES
S 32.06 S.upf
Nb 92.91 Nb.upf
Cu 63.55 Cu.upf
CELL_PARAMETERS angstrom
-0.343 0.360 3.331
3.568 -10.780 1.533
12.460 4.241 0.827
ATOMIC_POSITIONS crystal
S 0.250 0.111 0.919
S 0.250 0.858 0.539
S 0.250 0.611 0.581
S 0.750 0.211 0.147
S 0.250 0.289 0.647
S 0.750 0.142 0.461
S 0.250 0.358 0.961
S 0.750 0.889 0.081
S 0.250 0.481 0.215
S 0.750 0.642 0.039
S 0.750 0.019 0.715
S 0.750 0.711 0.353
S 0.750 0.389 0.419
S 0.250 0.981 0.285
S 0.750 0.519 0.785
S 0.250 0.789 0.853
Nb 0.750 0.958 0.908
Nb 0.750 0.935 0.422
Nb 0.250 0.565 0.922
Nb 0.250 0.042 0.092
Nb 0.250 0.542 0.408
Nb 0.750 0.458 0.592
Nb 0.250 0.065 0.578
Nb 0.750 0.435 0.078
Cu 0.750 0.319 0.765
Cu 0.750 0.819 0.735
Cu 0.250 0.181 0.265
Cu 0.250 0.681 0.235
```

Calculated values
SG: Pnma (62)
Volume, A^3/atom: 18.18
Spin magnetization, μB per atom: 0.000

=====

Need the numbers? Relative energies in kJ/mol of atoms: <one> 4.4; <two> 9.8; <three> 0.0.

=====

<one>
Density functional theory data (PBE-GGA) for a geometry-optimized Sr2NdTaCu2O8 structure. Values from VASP.

The structure in Quantum ESPRESSO input format:
```
&SYSTEM
  ibrav = 0, nat = 28, ntyp = 5
/
ATOMIC_SPECIES
O 16.00 O.upf
Cu 63.55 Cu.upf
Sr 87.62 Sr.upf
Nd 144.24 Nd.upf
Ta 180.95 Ta.upf
CELL_PARAMETERS angstrom
-4.704 0.858 2.778
-0.343 -5.414 1.071
8.752 3.877 8.113
ATOMIC_POSITIONS crystal
O 0.929 0.909 0.835
O 0.317 0.817 0.008
O 0.562 0.574 0.630
O 0.940 0.440 0.372
O 0.438 0.426 0.370
O 0.813 0.687 0.000
O 0.071 0.091 0.165
O 0.427 0.927 0.368
O 0.409 0.429 0.835
O 0.591 0.571 0.165
O 0.060 0.560 0.628
O 0.926 0.938 0.370
O 0.683 0.183 0.992
O 0.187 0.313 0.000
O 0.573 0.073 0.632
O 0.074 0.062 0.630
Cu 0.675 0.674 0.354
Cu 0.174 0.175 0.354
Cu 0.325 0.326 0.646
Cu 0.826 0.825 0.646
Sr 0.095 0.595 0.199
Sr 0.402 0.902 0.800
Sr 0.905 0.405 0.801
Sr 0.598 0.098 0.200
Nd 0.249 0.749 0.500
Nd 0.751 0.251 0.500
Ta 0.000 0.000 0.000
Ta 0.500 0.500 0.000
```

Calculated values
SG: C2/m (12)
Volume, A^3/atom: 13.02
Spin magnetization, μB per atom: 0.000

=====

<two>
Density functional theory data (PBE-GGA) for a geometry-optimized Sr2NdTaCu2O8 structure. Values from VASP.

The structure in Quantum ESPRESSO input format:
```
&SYSTEM
  ibrav = 0, nat = 14, ntyp = 5
/
ATOMIC_SPECIES
Ta 180.95 Ta.upf
O 16.00 O.upf
Sr 87.62 Sr.upf
Cu 63.55 Cu.upf
Nd 144.24 Nd.upf
CELL_PARAMETERS angstrom
-0.530 -3.124 2.365
3.917 -0.473 0.253
0.247 7.062 9.386
ATOMIC_POSITIONS crystal
Ta 0.000 0.000 0.000
O 0.000 0.500 0.000
O 0.500 0.000 0.631
O 0.000 0.500 0.631
O 0.000 0.500 0.369
O 0.500 0.000 0.000
O 0.500 0.000 0.369
O 0.000 0.000 0.168
O 0.000 0.000 0.832
Sr 0.500 0.500 0.199
Sr 0.500 0.500 0.801
Cu 0.000 0.000 0.643
Cu 0.000 0.000 0.357
Nd 0.500 0.500 0.500
```

Calculated values
SG: P4/mmm (123)
Volume, A^3/atom: 13.12
Spin magnetization, μB per atom: 0.000

=====

Need the numbers? Relative energies in kJ/mol of atoms: <one> 0.0; <two> 1.5.

=====

<one>
Density functional theory data (PBE-GGA) for a geometry-optimized Nd2CuSi3Rh2 structure. Values from VASP.

The structure in Quantum ESPRESSO input format:
```
&SYSTEM
  ibrav = 0, nat = 8, ntyp = 4
/
ATOMIC_SPECIES
Si 28.09 Si.upf
Nd 144.24 Nd.upf
Rh 102.91 Rh.upf
Cu 63.55 Cu.upf
CELL_PARAMETERS angstrom
2.066 -8.584 0.000
2.066 8.584 0.000
0.000 0.000 4.103
ATOMIC_POSITIONS crystal
Si 0.675 0.325 0.000
Si 0.324 0.676 0.500
Si 0.466 0.534 0.500
Nd 0.103 0.897 0.500
Nd 0.898 0.102 0.000
Rh 0.250 0.750 0.000
Rh 0.750 0.250 0.500
Cu 0.535 0.465 0.000
```

Calculated values
SG: Amm2 (38)
Volume, A^3/atom: 18.20
Spin magnetization, μB per atom: 0.004

=====

<two>
Density functional theory data (PBE-GGA) for a geometry-optimized Nd2CuSi3Rh2 structure. Values from VASP.

The structure in Quantum ESPRESSO input format:
```
&SYSTEM
  ibrav = 0, nat = 8, ntyp = 4
/
ATOMIC_SPECIES
Cu 63.55 Cu.upf
Rh 102.91 Rh.upf
Si 28.09 Si.upf
Nd 144.24 Nd.upf
CELL_PARAMETERS angstrom
0.502 5.518 -6.836
-2.311 -7.663 3.656
-3.669 1.591 1.015
ATOMIC_POSITIONS crystal
Cu 0.668 0.332 0.000
Rh 0.756 0.244 0.500
Rh 0.255 0.745 0.000
Si 0.535 0.465 0.000
Si 0.463 0.537 0.500
Si 0.319 0.681 0.500
Nd 0.896 0.104 0.000
Nd 0.108 0.892 0.500
```

Calculated values
SG: Amm2 (38)
Volume, A^3/atom: 18.68
Spin magnetization, μB per atom: 0.000

=====

Need the numbers? Relative energies in kJ/mol of atoms: <one> 0.0; <two> 20.1.

=====

<one>
Density functional theory data (PBE-GGA) for a geometry-optimized Cu8O7 structure. Values from VASP.

The structure in Quantum ESPRESSO input format:
```
&SYSTEM
  ibrav = 0, nat = 15, ntyp = 2
/
ATOMIC_SPECIES
Cu 63.55 Cu.upf
O 16.00 O.upf
CELL_PARAMETERS angstrom
4.135 4.138 0.000
-4.135 4.138 0.000
0.000 3.928 5.055
ATOMIC_POSITIONS crystal
Cu 0.500 0.489 0.773
Cu 0.008 0.003 0.741
Cu 0.997 0.992 0.259
Cu 0.997 0.501 0.259
Cu 0.511 0.500 0.227
Cu 0.499 0.003 0.741
Cu 0.506 0.002 0.235
Cu 0.998 0.494 0.765
O 0.868 0.132 0.500
O 0.633 0.869 0.991
O 0.131 0.367 0.009
O 0.385 0.140 0.469
O 0.379 0.621 0.500
O 0.130 0.870 0.000
O 0.860 0.615 0.531
```

Calculated values
SG: C2 (5)
Volume, A^3/atom: 11.53
Spin magnetization, μB per atom: 0.079

=====

<two>
Density functional theory data (PBE-GGA) for a geometry-optimized Cu8O7 structure. Values from VASP.

The structure in Quantum ESPRESSO input format:
```
&SYSTEM
  ibrav = 0, nat = 15, ntyp = 2
/
ATOMIC_SPECIES
Cu 63.55 Cu.upf
O 16.00 O.upf
CELL_PARAMETERS angstrom
-2.604 -5.737 1.398
-1.622 -4.549 -4.280
3.583 -4.674 -0.358
ATOMIC_POSITIONS crystal
Cu 0.509 0.509 0.971
Cu 0.501 0.008 0.999
Cu 0.264 0.758 0.515
Cu 0.265 0.265 0.500
Cu 0.002 0.002 0.008
Cu 0.008 0.501 0.999
Cu 0.744 0.744 0.499
Cu 0.758 0.264 0.515
O 0.194 0.194 0.874
O 0.811 0.811 0.130
O 0.321 0.321 0.130
O 0.946 0.946 0.367
O 0.452 0.452 0.405
O 0.072 0.072 0.630
O 0.692 0.692 0.858
```

Calculated values
SG: Cm (8)
Volume, A^3/atom: 11.50
Spin magnetization, μB per atom: 0.075

=====

Need the numbers? Relative energies in kJ/mol of atoms: <one> 1.4; <two> 0.0.

=====

<one>
Density functional theory data (PBE-GGA) for a geometry-optimized Cu4O3 structure. Values from VASP.

The structure in Quantum ESPRESSO input format:
```
&SYSTEM
  ibrav = 0, nat = 14, ntyp = 2
/
ATOMIC_SPECIES
O 16.00 O.upf
Cu 63.55 Cu.upf
CELL_PARAMETERS angstrom
-2.955 2.955 4.918
2.955 -2.955 4.918
2.955 2.955 -4.918
ATOMIC_POSITIONS crystal
O 0.250 0.750 0.500
O 0.513 0.013 0.500
O 0.237 0.237 0.000
O 0.500 0.500 0.000
O 0.763 0.763 0.000
O 0.987 0.487 0.500
Cu 0.375 0.625 0.250
Cu 0.875 0.125 0.250
Cu 0.875 0.125 0.750
Cu 0.875 0.625 0.250
Cu 0.375 0.125 0.750
Cu 0.375 0.625 0.750
Cu 0.375 0.125 0.250
Cu 0.875 0.625 0.750
```

Calculated values
SG: I4_1/amd (141)
Volume, A^3/atom: 12.27

=====

<two>
Density functional theory data (PBE-GGA) for a geometry-optimized Cu4O3 structure. Values from VASP.

The structure in Quantum ESPRESSO input format:
```
&SYSTEM
  ibrav = 0, nat = 14, ntyp = 2
/
ATOMIC_SPECIES
Cu 63.55 Cu.upf
O 16.00 O.upf
CELL_PARAMETERS angstrom
4.048 0.000 0.000
0.000 4.048 0.000
0.000 0.000 9.386
ATOMIC_POSITIONS crystal
Cu 0.500 0.000 0.237
Cu 0.000 0.500 0.763
Cu 0.500 0.500 0.000
Cu 0.500 0.500 0.500
Cu 0.000 0.500 0.204
Cu 0.000 0.000 0.500
Cu 0.000 0.000 0.000
Cu 0.500 0.000 0.796
O 0.000 0.500 0.508
O 0.500 0.500 0.797
O 0.000 0.000 0.797
O 0.000 0.000 0.203
O 0.500 0.000 0.492
O 0.500 0.500 0.203
```

Calculated values
SG: P4/nmm (129)
Volume, A^3/atom: 10.99
Spin magnetization, μB per atom: 0.000

=====

Need the numbers? Relative energies in kJ/mol of atoms: <one> 0.0; <two> 9.7.

=====

<one>
Density functional theory data (PBE-GGA) for a geometry-optimized Cu2PO5 structure. Values from VASP.

The structure in Quantum ESPRESSO input format:
```
&SYSTEM
  ibrav = 0, nat = 32, ntyp = 3
/
ATOMIC_SPECIES
O 16.00 O.upf
P 30.97 P.upf
Cu 63.55 Cu.upf
CELL_PARAMETERS angstrom
8.612 -0.009 0.000
-0.006 7.309 0.000
0.000 0.000 6.215
ATOMIC_POSITIONS crystal
O 0.871 0.887 0.000
O 0.128 0.116 0.000
O 0.625 0.385 0.500
O 0.637 0.794 0.701
O 0.863 0.294 0.798
O 0.364 0.205 0.299
O 0.364 0.205 0.701
O 0.140 0.366 0.500
O 0.639 0.134 0.000
O 0.861 0.634 0.500
O 0.343 0.524 0.000
O 0.137 0.706 0.799
O 0.158 0.022 0.500
O 0.863 0.294 0.202
O 0.137 0.706 0.201
O 0.637 0.794 0.299
O 0.658 0.478 0.000
O 0.360 0.868 0.000
O 0.373 0.616 0.500
O 0.842 0.978 0.500
P 0.250 0.201 0.500
P 0.750 0.299 0.000
P 0.750 0.799 0.500
P 0.250 0.702 0.000
Cu 0.229 0.781 0.500
Cu 0.271 0.283 0.000
Cu 0.729 0.719 0.000
Cu 0.767 0.217 0.500
Cu 0.500 0.999 0.266
Cu 0.001 0.499 0.234
Cu 0.001 0.499 0.765
Cu 0.500 0.999 0.734
```

Calculated values
SG: Pm (6)
Volume, A^3/atom: 12.22
Spin magnetization, μB per atom: 0.375

=====

<two>
Density functional theory data (PBE-GGA) for a geometry-optimized Cu2PO5 structure. Values from VASP.

The structure in Quantum ESPRESSO input format:
```
&SYSTEM
  ibrav = 0, nat = 32, ntyp = 3
/
ATOMIC_SPECIES
O 16.00 O.upf
P 30.97 P.upf
Cu 63.55 Cu.upf
CELL_PARAMETERS angstrom
-2.490 3.315 4.075
-6.370 1.023 -4.725
-3.653 -6.947 3.420
ATOMIC_POSITIONS crystal
O 0.720 0.337 0.257
O 0.280 0.663 0.743
O 0.500 0.134 0.085
O 0.500 0.905 0.618
O 0.500 0.095 0.382
O 0.000 0.405 0.882
O 0.000 0.878 0.920
O 0.280 0.337 0.257
O 0.000 0.366 0.585
O 0.000 0.595 0.118
O 0.500 0.622 0.420
O 0.500 0.378 0.580
O 0.780 0.163 0.757
O 0.720 0.663 0.743
O 0.000 0.122 0.080
O 0.780 0.837 0.243
O 0.220 0.163 0.757
O 0.000 0.634 0.415
O 0.500 0.866 0.915
O 0.220 0.837 0.243
P 0.500 0.230 0.247
P 0.500 0.770 0.753
P 0.000 0.270 0.747
P 0.000 0.730 0.253
Cu 0.248 0.000 0.000
Cu 0.000 0.348 0.117
Cu 0.252 0.500 0.500
Cu 0.752 0.000 0.000
Cu 0.748 0.500 0.500
Cu 0.000 0.652 0.883
Cu 0.500 0.152 0.617
Cu 0.500 0.848 0.383
```

Calculated values
SG: Pnnm (58)
Volume, A^3/atom: 12.44

=====

Need the numbers? Relative energies in kJ/mol of atoms: <one> 29.4; <two> 0.0.